# CaYMg14

An optimized crystal structure of CaYMg14 (PBE-GGA, the Materials Project database).

The space group is Amm2 (No. 38) and the conventional cell measures 10.5311, 6.5974 and 11.4389 Å, with angles of 90.00, 90.00 and 90.00 degrees. The inequivalent atoms are Ca at (0.0000, 0.0000, 0.0000), Y at (0.0000, 0.0000, 0.4986), Mg at (0.0000, 0.2478, 0.7538), Mg at (0.2524, 0.0000, 0.6693), Mg at (0.2542, 0.0000, 0.1714), Mg at (0.2587, 0.2476, 0.4162), Mg at (0.5000, 0.0000, 0.0023), Mg at (0.5000, 0.0000, 0.5024) and Mg at (0.5000, 0.2499, 0.2511).

The energy relative to the elements comes out at 20 kJ/mol of formula units. The value obtained for the final energy is -1.917 eV/atom. The value obtained for the energy above the most stable polymorph in this dataset is 10 meV per atom. The calculation puts the total magnetization at 0.000 μB per formula unit.